1.
ErCd3 (r2SCAN, optimized geometry); uncorrected energy = -95.4 eV per formula unit; symmetry = Cmcm, No. 63; energy of formation from the pure elements = -0.2949 eV per atom; magnetization = 0.0000 μB/atom
1.0
-4.626 -1.333 -0.086
0.633 -2.572 5.846
-1.779 6.164 0.180
Cd Er
6 2
Cartesian
-2.509 4.285 1.162
-3.486 -1.058 1.767
-3.263 -2.025 4.779
-2.286 3.318 4.174
-1.632 1.268 0.734
-4.141 0.992 5.207
-1.410 0.305 3.743
-4.362 1.955 2.198

***

2.
AsS (r2SCAN, optimized geometry); uncorrected energy = -23.0 eV per formula unit; symmetry = P2_1/c, No. 14; energy of formation from the pure elements = -0.1348 eV per atom; magnetization = 0.0000 μB/atom
1.0
7.333 0.000 -0.367
0.000 10.262 0.000
-0.021 0.000 11.370
As S
16 16
Cartesian
1.880 5.297 4.628
-0.002 8.725 9.368
1.776 0.167 0.873
2.244 3.540 -0.096
0.356 6.377 2.911
5.068 6.722 11.099
7.314 1.537 1.635
1.412 8.671 5.597
5.432 4.964 6.375
6.956 3.884 8.092
4.012 9.015 8.413
5.536 10.095 10.130
3.675 6.667 3.500
3.637 3.594 7.504
3.300 1.246 2.591
5.900 1.591 5.406
1.459 6.537 6.393
3.734 3.190 1.554
5.915 8.613 7.230
0.056 1.941 7.422
5.053 3.482 9.275
5.137 8.856 0.525
5.853 3.725 4.610
0.228 3.490 0.908
1.397 1.649 3.773
2.259 6.780 1.728
3.884 1.640 6.410
3.428 8.621 4.594
7.256 8.321 3.581
2.175 1.406 10.479
7.084 6.771 10.095
3.578 7.072 9.450

***

3.
Rb4CdCl6 (r2SCAN, optimized geometry); uncorrected energy = -134.2 eV per formula unit; symmetry = R-3c, No. 167; energy of formation from the pure elements = -1.9545 eV per atom; magnetization = 0.0000 μB/atom
1.0
-6.763 -5.632 1.307
4.784 -4.545 5.969
-3.136 5.107 6.577
Rb Cl Cd
8 12 2
Cartesian
-1.279 -1.267 3.463
-6.677 -2.857 6.754
1.562 -2.212 7.099
-0.841 -6.221 7.678
-1.433 0.207 9.811
-3.836 -3.802 10.390
-3.681 -5.276 4.042
-4.274 1.152 6.176
-1.005 -3.152 9.014
-6.933 -4.151 3.527
-4.110 -1.917 4.839
1.818 -0.919 10.326
-2.047 3.115 7.990
-4.205 -1.193 8.550
-0.910 -3.877 5.303
2.348 -5.538 6.446
-1.135 -0.306 6.527
-3.980 -4.763 7.326
-7.463 0.469 7.407
-3.067 -8.185 5.863
0.000 0.000 0.000
-2.557 -2.535 6.927

***

4.
HoThRu2 (r2SCAN, optimized geometry); uncorrected energy = -159.1 eV per formula unit; symmetry = Fm-3m, No. 225; energy of formation from the pure elements = -0.4691 eV per atom; magnetization = 0.0001 μB/atom
1.0
-4.655 0.798 1.281
-3.358 0.932 -3.435
-3.429 -3.333 -1.037
Ho Ru Th
1 2 1
Cartesian
-5.721 -0.802 -1.595
-8.581 -1.203 -2.393
-2.860 -0.401 -0.798
0.000 0.000 0.000